{
  "formula": "La2CuRu",
  "functional": "GGA-PBE",
  "state": "relaxed",
  "lattice": [[0.0000, 3.5853, 3.5853], [3.5853, 0.0000, 3.5853], [3.5853, 3.5853, 0.0000]],
  "species": ["La", "La", "Cu", "Ru"],
  "frac_coords": [[0.2500, 0.2500, 0.2500], [0.7500, 0.7500, 0.7500], [0.5000, 0.5000, 0.5000], [0.0000, 0.0000, 0.0000]],
  "formation_energy_kcal_per_mol_atoms": -4.1,
  "rho_g_cm3": 7.97,
  "spacegroup": "Fm-3m",
  "total_magnetization_mub_per_atom": 0.00
}

{
  "formula": "La2CuSbS5",
  "functional": "GGA-PBE",
  "state": "relaxed",
  "lattice": [[-3.7822, 3.8399, 6.6562], [3.7822, -3.8399, 6.6562], [3.7822, 3.8399, -6.6562]],
  "species": ["La", "La", "La", "La", "Cu", "Cu", "Sb", "Sb", "S", "S", "S", "S", "S", "S", "S", "S", "S", "S"],
  "frac_coords": [[0.7823, 0.5000, 0.2823], [0.2823, 0.0000, 0.2823], [0.4159, 0.8843, 0.8002], [0.9159, 0.1157, 0.5317], [0.3167, 0.5000, 0.8167], [0.8167, 0.0000, 0.8167], [0.7474, 0.5792, 0.8266], [0.2474, 0.4208, 0.1683], [0.0132, 0.5598, 0.7757], [0.2159, 0.4402, 0.4534], [0.7159, 0.2624, 0.7757], [0.5132, 0.7376, 0.4534], [0.5603, 0.7854, 0.1352], [0.3498, 0.2146, 0.7749], [0.8498, 0.0749, 0.1352], [0.0603, 0.9251, 0.7749], [0.0332, 0.7419, 0.2751], [0.5332, 0.2581, 0.2912]],
  "formation_energy_kcal_per_mol_atoms": -36.8,
  "rho_g_cm3": 5.35,
  "spacegroup": "Ima2",
  "total_magnetization_mub_per_atom": 0.00
}